# LiCu5P2O8 | Materials Project | GGA-PBE | optimized geometry
# Formation energy, eV/f.u.: -25.99
# Space group: No. 1
data_LiCu5P2O8
_chemical_formula_sum 'Li2 Cu10 P4 O16'
_cell_length_a 5.6141
_cell_length_b 6.2296
_cell_length_c 10.3651
_cell_angle_alpha 89.73
_cell_angle_beta 89.76
_cell_angle_gamma 88.93
_space_group_name_H-M_alt 'P 1'
_space_group_IT_number 1
_space_group_name_Hall 'P 1'
loop_
_atom_site_label
_atom_site_type_symbol
_atom_site_fract_x
_atom_site_fract_y
_atom_site_fract_z
Li1 Li 0.0000 0.0000 0.0000
Li2 Li 0.1777 0.2496 0.7531
Cu1 Cu 0.1032 0.2598 0.2541
Cu2 Cu 0.5590 0.7527 0.5107
Cu3 Cu 0.5633 0.7490 0.0110
Cu4 Cu 0.6634 0.9961 0.2475
Cu5 Cu 0.6771 0.5016 0.2485
Cu6 Cu 0.6797 0.5474 0.7631
Cu7 Cu 0.6805 0.9655 0.7544
Cu8 Cu 0.9729 0.5116 0.0050
Cu9 Cu 0.9814 0.4910 0.4983
Cu10 Cu 0.9843 0.0132 0.4968
P1 P 0.1485 0.7527 0.7504
P2 P 0.1595 0.7575 0.2444
P3 P 0.4843 0.2433 0.9915
P4 P 0.4880 0.2545 0.5012
O1 O 0.0202 0.9615 0.2953
O2 O 0.0251 0.5588 0.3001
O3 O 0.0251 0.9595 0.8077
O4 O 0.0288 0.5392 0.7991
O5 O 0.1494 0.7576 0.6015
O6 O 0.1522 0.7563 0.0953
O7 O 0.2246 0.2348 0.0426
O8 O 0.2359 0.2556 0.5631
O9 O 0.4070 0.7499 0.8042
O10 O 0.4154 0.7558 0.2983
O11 O 0.4808 0.2553 0.3519
O12 O 0.4913 0.2500 0.8427
O13 O 0.6117 0.4445 0.0483
O14 O 0.6282 0.0509 0.5519
O15 O 0.6279 0.4522 0.5524
O16 O 0.6402 0.0478 0.0418